No. 1
LaHf2F11: optimized geometry, PBE-GGA.

a b c (Å): 8.489 8.489 8.489
angles (deg): 125.24 106.91 97.59
Positions (direct):
La1 0.250 0.250 0.000
La2 0.750 0.750 0.000
Hf1 0.180 0.634 0.814
Hf2 0.320 0.134 0.453
Hf3 0.680 0.866 0.547
Hf4 0.820 0.366 0.186
F1 0.000 0.500 0.500
F2 0.050 0.366 0.160
F3 0.053 0.968 0.289
F4 0.179 0.468 0.915
F5 0.206 0.890 0.840
F6 0.221 0.371 0.592
F7 0.279 0.871 0.150
F8 0.294 0.134 0.684
F9 0.321 0.236 0.289
F10 0.447 0.736 0.915
F11 0.450 0.610 0.316
F12 0.500 0.000 0.500
F13 0.550 0.390 0.684
F14 0.553 0.264 0.085
F15 0.679 0.764 0.711
F16 0.706 0.866 0.316
F17 0.721 0.129 0.850
F18 0.779 0.629 0.408
F19 0.794 0.110 0.160
F20 0.821 0.532 0.085
F21 0.947 0.032 0.711
F22 0.950 0.634 0.840



No. 2
HfNF4: optimized geometry, PBE-GGA.

Properties
- Total moment: 12.0 μB per cell

a b c (Å): 6.326 7.855 8.430
angles (deg): 105.26 98.15 108.43
Positions (direct):
Hf1 0.228 0.205 0.142
Hf2 0.246 0.705 0.115
Hf3 0.754 0.295 0.885
Hf4 0.772 0.795 0.858
N1 0.283 0.130 0.646
N2 0.289 0.624 0.615
N3 0.711 0.376 0.385
N4 0.717 0.870 0.354
F1 0.051 0.048 0.883
F2 0.072 0.738 0.897
F3 0.097 0.428 0.904
F4 0.243 0.262 0.377
F5 0.254 0.807 0.349
F6 0.346 0.505 0.195
F7 0.375 0.003 0.150
F8 0.490 0.273 0.011
F9 0.510 0.727 0.989
F10 0.625 0.997 0.850
F11 0.654 0.495 0.805
F12 0.746 0.193 0.651
F13 0.757 0.738 0.623
F14 0.903 0.572 0.096
F15 0.928 0.262 0.103
F16 0.949 0.952 0.117



No. 3
NaHf2TiF11: optimized geometry, PBE-GGA.

Properties
- Total moment: 2.0 μB per cell

a b c (Å): 5.815 5.815 7.834
angles (deg): 112.06 112.06 72.70
Positions (direct):
Na1 0.000 0.000 0.000
Hf1 0.502 0.502 0.771
Hf2 0.505 0.505 0.238
Ti1 0.004 0.004 0.502
F1 0.202 0.777 0.695
F2 0.225 0.800 0.309
F3 0.256 0.256 0.639
F4 0.269 0.269 0.123
F5 0.329 0.663 0.000
F6 0.531 0.531 0.521
F7 0.663 0.329 0.000
F8 0.737 0.737 0.925
F9 0.750 0.750 0.357
F10 0.777 0.202 0.695
F11 0.800 0.225 0.309



No. 4
NdHfF7: optimized geometry, PBE-GGA.

a b c (Å): 6.267 5.823 8.445
angles (deg): 90.00 101.58 90.00
Positions (direct):
Nd1 0.158 0.000 0.188
Nd2 0.842 0.500 0.812
Hf1 0.311 0.991 0.724
Hf2 0.689 0.491 0.276
F1 0.052 0.315 0.026
F2 0.053 0.199 0.714
F3 0.126 0.705 0.716
F4 0.258 0.993 0.483
F5 0.358 0.986 0.967
F6 0.434 0.279 0.269
F7 0.472 0.750 0.261
F8 0.528 0.250 0.739
F9 0.566 0.779 0.731
F10 0.642 0.486 0.033
F11 0.742 0.493 0.517
F12 0.874 0.205 0.284
F13 0.947 0.699 0.286
F14 0.948 0.815 0.974



No. 5
NdHf2F11: optimized geometry, PBE-GGA.

a b c (Å): 8.419 8.419 8.419
angles (deg): 124.94 106.73 98.01
Positions (direct):
Nd1 0.250 0.250 0.000
Nd2 0.750 0.750 0.000
Hf1 0.181 0.634 0.816
Hf2 0.319 0.134 0.453
Hf3 0.681 0.866 0.547
Hf4 0.819 0.366 0.184
F1 0.000 0.500 0.500
F2 0.049 0.966 0.287
F3 0.052 0.365 0.159
F4 0.179 0.466 0.917
F5 0.206 0.893 0.841
F6 0.220 0.370 0.591
F7 0.280 0.870 0.150
F8 0.294 0.135 0.687
F9 0.321 0.237 0.287
F10 0.448 0.607 0.313
F11 0.451 0.737 0.917
F12 0.500 0.000 0.500
F13 0.549 0.263 0.083
F14 0.552 0.393 0.687
F15 0.679 0.763 0.713
F16 0.706 0.865 0.313
F17 0.720 0.130 0.850
F18 0.780 0.630 0.409
F19 0.794 0.107 0.159
F20 0.821 0.534 0.083
F21 0.948 0.635 0.841
F22 0.951 0.034 0.713



No. 6
Rb2Hf3OF12: optimized geometry, PBE-GGA.

a b c (Å): 11.042 11.042 11.042
angles (deg): 41.13 41.13 41.13
Positions (direct):
Rb1 0.000 0.000 0.000
Rb2 0.139 0.139 0.139
Rb3 0.500 0.500 0.500
Rb4 0.861 0.861 0.861
Hf1 0.028 0.575 0.575
Hf2 0.425 0.425 0.972
Hf3 0.425 0.972 0.425
Hf4 0.575 0.028 0.575
Hf5 0.575 0.575 0.028
Hf6 0.972 0.425 0.425
O1 0.287 0.287 0.287
O2 0.713 0.713 0.713
F1 0.000 0.353 0.647
F2 0.000 0.647 0.353
F3 0.083 0.646 0.646
F4 0.090 0.090 0.598
F5 0.090 0.598 0.090
F6 0.292 0.292 0.628
F7 0.292 0.628 0.292
F8 0.353 0.000 0.647
F9 0.353 0.647 0.000
F10 0.354 0.354 0.917
F11 0.354 0.917 0.354
F12 0.372 0.708 0.708
F13 0.402 0.910 0.910
F14 0.598 0.090 0.090
F15 0.628 0.292 0.292
F16 0.646 0.083 0.646
F17 0.646 0.646 0.083
F18 0.647 0.000 0.353
F19 0.647 0.353 0.000
F20 0.708 0.372 0.708
F21 0.708 0.708 0.372
F22 0.910 0.402 0.910
F23 0.910 0.910 0.402
F24 0.917 0.354 0.354



| no. | DFT formation energy (kJ per mole of atoms) |
| --- | --- |
| 1 | -412 |
| 2 | -242 |
| 3 | -368 |
| 4 | -415 |
| 5 | -410 |
| 6 | -382 |